[1]
DFT (PBE) results for a relaxed structure of LiTi11O20.

```
LiTi11O20
1.0
7.2615 0.0000 0.0000
-1.8734 7.4634 0.0000
-0.6320 -0.2598 13.2288
Li Ti O
2 22 40
Cartesian
0.5398 0.3219 2.9319
4.2163 6.8817 10.2969
-0.0982 2.5630 9.4179
0.0816 4.2065 0.9652
0.1629 3.0529 6.4318
-1.0449 6.5875 13.1345
0.8343 0.2791 7.5916
0.2485 1.8976 12.1588
-0.3220 5.8354 5.4724
2.1194 4.1378 3.8494
2.9002 0.3248 10.5678
1.6961 5.7546 8.3433
1.7382 5.0094 11.5530
3.0180 2.1942 1.6758
3.0600 1.4491 4.8856
1.8560 6.8789 2.6610
2.6368 3.0658 9.3794
5.0782 1.3682 7.7564
4.5076 5.3060 1.0701
3.9219 6.9245 5.6372
5.8010 0.6161 0.0943
4.5933 4.1507 6.7970
4.6745 2.9971 12.2636
4.8543 4.6407 3.8109
-0.6369 0.7021 8.8828
-0.5952 2.3827 0.3922
-1.8561 6.0333 6.9430
-1.2005 2.7394 10.9415
-1.2025 3.9748 5.2450
-0.5475 0.1114 11.9786
1.3037 2.2431 7.8848
0.7331 4.8848 6.9058
0.7467 3.7624 12.6109
0.7676 6.1021 1.2993
2.0373 1.3079 0.3075
2.0161 0.2237 5.9648
1.4750 2.7587 5.0199
0.2205 7.0049 8.7863
1.4547 1.7351 10.5629
0.2360 6.3904 11.6567
1.4964 3.3834 2.1841
0.9062 5.6189 4.0335
1.0110 4.2568 9.6836
2.3936 0.8092 3.0919
2.3625 6.3944 10.1370
3.7451 2.9469 3.5452
3.8499 1.5848 9.1954
3.2597 3.8202 11.0448
4.5201 0.8133 1.5721
3.3015 5.4685 2.6659
4.5357 0.1987 4.4425
3.2811 4.4449 8.2089
2.7401 6.9799 7.2640
2.7189 5.8957 12.9213
3.9886 1.1015 11.9295
4.0094 3.4412 0.6179
4.0230 2.3188 6.3231
3.4524 4.9605 5.3440
5.3036 7.0923 1.2502
5.9586 3.2288 7.9839
5.9567 4.4642 2.2874
6.6122 1.1703 6.2858
5.3513 4.8209 12.8366
5.3931 6.5015 4.3460
```

Summary:
E in eV/atom: -8.809
Space-group type: P-1, No. 2
Formation enthalpy at 0 K in meV/atom: -3372

[2]
DFT (PBE) results for a relaxed structure of Li2Ti2O5.

```
Li2Ti2O5
1.0
3.0891 -7.9066 0.0000
3.0891 7.9066 0.0000
0.0000 0.0000 5.2471
Li Ti O
4 4 10
Cartesian
0.9159 0.8757 0.0000
0.9159 -0.8757 2.6236
5.2623 0.8757 2.6236
5.2623 -0.8757 0.0000
2.1235 2.2573 2.6218
2.1235 -2.2573 5.2454
4.0547 2.2573 5.2454
4.0547 -2.2573 2.6218
1.5446 3.9533 2.2295
0.9827 1.0547 2.0180
0.9827 -1.0547 4.6416
2.3733 1.9813 4.4496
3.8049 1.9813 1.8260
1.5446 -3.9533 4.8531
2.3733 -1.9813 1.8260
3.8049 -1.9813 4.4496
5.1955 1.0547 4.6416
5.1955 -1.0547 2.0180
```

Summary:
E in eV/atom: -7.674
Space-group type: Ccc2, No. 37
Formation enthalpy at 0 K in meV/atom: -3128

Question: Number 1 is which compound?
Answer: LiTi11O20